A plane-wave DFT calculation with meta-GGA r2SCAN was carried out for crystalline Cs3ZnI5 at its relaxed geometry.

Summary:
* E_form: -1.4599 eV per atom

a = 10.049 Å, b = 11.703 Å, c = 14.925 Å
α = 90.00°, β = 90.00°, γ = 90.00°
Atoms (fractional coordinates):
Zn 0.187 0.750 0.893
Zn 0.313 0.250 0.393
Zn 0.687 0.750 0.607
Zn 0.813 0.250 0.107
Cs 0.081 0.515 0.172
Cs 0.419 0.485 0.672
Cs 0.919 0.485 0.828
Cs 0.414 0.250 0.953
Cs 0.914 0.250 0.547
Cs 0.581 0.515 0.328
Cs 0.586 0.750 0.047
Cs 0.919 0.015 0.828
Cs 0.419 0.015 0.672
Cs 0.081 0.985 0.172
Cs 0.581 0.985 0.328
Cs 0.086 0.750 0.453
I 0.169 0.250 0.738
I 0.534 0.250 0.488
I 0.331 0.750 0.238
I 0.189 0.062 0.435
I 0.636 0.750 0.779
I 0.311 0.938 0.935
I 0.034 0.250 0.012
I 0.189 0.438 0.435
I 0.831 0.750 0.262
I 0.466 0.750 0.512
I 0.811 0.938 0.565
I 0.689 0.062 0.065
I 0.689 0.438 0.065
I 0.966 0.750 0.988
I 0.364 0.250 0.221
I 0.669 0.250 0.762
I 0.311 0.562 0.935
I 0.136 0.750 0.721
I 0.864 0.250 0.279
I 0.811 0.562 0.565


A plane-wave DFT calculation with meta-GGA r2SCAN was carried out for crystalline BaY2F8 at its relaxed geometry.

Summary:
* E_form: -4.4016 eV per atom

a = 6.309 Å, b = 6.309 Å, c = 4.266 Å
α = 84.62°, β = 84.62°, γ = 112.84°
Atoms (fractional coordinates):
F 0.673 0.953 0.064
F 0.327 0.047 0.936
F 0.047 0.327 0.936
F 0.953 0.673 0.064
F 0.608 0.608 0.722
F 0.741 0.259 0.500
F 0.259 0.741 0.500
F 0.392 0.392 0.278
Ba 0.000 0.000 0.500
Y 0.676 0.324 0.000
Y 0.324 0.676 0.000


A plane-wave DFT calculation with meta-GGA r2SCAN was carried out for crystalline Rb2TaCuS2 at its relaxed geometry.

Summary:
* E_form: -0.2336 eV per atom

a = 5.843 Å, b = 6.602 Å, c = 23.462 Å
α = 86.84°, β = 82.85°, γ = 63.74°
Atoms (fractional coordinates):
Ta 0.875 0.250 0.250
Ta 0.375 0.750 0.750
Ta 0.875 0.250 0.750
Ta 0.875 0.750 0.250
Rb 0.313 0.749 0.382
Rb 0.305 0.251 0.382
Rb 0.938 0.749 0.618
Rb 0.812 0.751 0.882
Rb 0.437 0.751 0.118
Rb 0.444 0.251 0.618
Rb 0.306 0.249 0.882
Rb 0.445 0.249 0.118
Cu 0.375 0.750 0.250
Cu 0.875 0.750 0.750
Cu 0.375 0.250 0.250
Cu 0.375 0.250 0.750
S 0.822 0.251 0.349
S 0.822 0.249 0.849
S 0.928 0.249 0.151
S 0.422 0.749 0.651
S 0.829 0.749 0.349
S 0.928 0.251 0.651
S 0.328 0.751 0.849
S 0.921 0.751 0.151


A plane-wave DFT calculation with meta-GGA r2SCAN was carried out for crystalline Zr4In5Co2 at its relaxed geometry.

Summary:
* E_form: -0.4013 eV per atom

a = 3.290 Å, b = 7.517 Å, c = 9.038 Å
α = 94.78°, β = 90.00°, γ = 90.00°
Atoms (fractional coordinates):
Zr 0.500 0.182 0.841
Zr 0.500 0.799 0.558
Zr 0.500 0.201 0.442
Zr 0.500 0.818 0.159
In 0.000 0.460 0.668
In 0.000 0.842 0.857
In 0.000 0.540 0.332
In 0.000 0.500 0.000
In 0.000 0.158 0.143
Co 0.000 0.922 0.366
Co 0.000 0.078 0.634


A plane-wave DFT calculation with meta-GGA r2SCAN was carried out for crystalline CaB2O4 at its relaxed geometry.

Summary:
* E_form: -2.9429 eV per atom
* polymorph energy (0 for the lowest one): 0 kJ/mol of formula units

a = 5.017 Å, b = 8.378 Å, c = 13.819 Å
α = 90.00°, β = 90.00°, γ = 90.00°
Atoms (fractional coordinates):
O 0.620 0.742 0.509
O 0.872 0.606 0.686
O 0.128 0.106 0.186
O 0.143 0.389 0.886
O 0.857 0.611 0.114
O 0.386 0.601 0.110
O 0.114 0.399 0.610
O 0.380 0.258 0.491
O 0.614 0.399 0.890
O 0.114 0.101 0.890
O 0.628 0.394 0.186
O 0.357 0.611 0.386
O 0.620 0.758 0.991
O 0.380 0.242 0.009
O 0.120 0.742 0.991
O 0.886 0.601 0.390
O 0.143 0.111 0.614
O 0.886 0.899 0.110
O 0.120 0.758 0.509
O 0.372 0.894 0.686
O 0.614 0.101 0.610
O 0.357 0.889 0.114
O 0.643 0.389 0.614
O 0.386 0.899 0.390
O 0.872 0.894 0.814
O 0.857 0.889 0.386
O 0.372 0.606 0.814
O 0.880 0.258 0.009
O 0.880 0.242 0.491
O 0.643 0.111 0.886
O 0.128 0.394 0.314
O 0.628 0.106 0.314
B 0.876 0.036 0.862
B 0.624 0.536 0.138
B 0.130 0.255 0.551
B 0.624 0.964 0.362
B 0.376 0.464 0.862
B 0.630 0.245 0.551
B 0.370 0.745 0.051
B 0.870 0.745 0.449
B 0.124 0.964 0.138
B 0.630 0.255 0.949
B 0.876 0.464 0.638
B 0.870 0.755 0.051
B 0.370 0.755 0.449
B 0.130 0.245 0.949
B 0.376 0.036 0.638
B 0.124 0.536 0.362
Ca 0.620 0.116 0.143
Ca 0.620 0.384 0.357
Ca 0.380 0.884 0.857
Ca 0.880 0.884 0.643
Ca 0.880 0.616 0.857
Ca 0.380 0.616 0.643
Ca 0.120 0.384 0.143
Ca 0.120 0.116 0.357


A plane-wave DFT calculation with meta-GGA r2SCAN was carried out for crystalline LuAgPb at its relaxed geometry.

Summary:
* E_form: -0.3879 eV per atom

a = 7.401 Å, b = 7.401 Å, c = 4.463 Å
α = 90.00°, β = 90.00°, γ = 120.00°
Atoms (fractional coordinates):
Lu 0.429 0.429 0.500
Lu 0.000 0.571 0.500
Lu 0.571 0.000 0.500
Pb 0.333 0.667 0.000
Pb 0.667 0.333 0.000
Pb 0.000 0.000 0.500
Ag 0.247 0.000 0.000
Ag 0.753 0.753 0.000
Ag 0.000 0.247 0.000


A plane-wave DFT calculation with meta-GGA r2SCAN was carried out for crystalline P2Pd3S8 at its relaxed geometry.

Summary:
* E_form: -0.3938 eV per atom

a = 7.052 Å, b = 7.052 Å, c = 7.329 Å
α = 90.00°, β = 90.00°, γ = 120.00°
Atoms (fractional coordinates):
S 0.333 0.667 0.585
S 0.184 0.816 0.180
S 0.633 0.816 0.180
S 0.367 0.184 0.820
S 0.667 0.333 0.415
S 0.816 0.184 0.820
S 0.184 0.367 0.180
S 0.816 0.633 0.820
Pd 0.500 0.000 0.000
Pd 0.000 0.500 0.000
Pd 0.500 0.500 0.000
P 0.333 0.667 0.325
P 0.667 0.333 0.675


A plane-wave DFT calculation with meta-GGA r2SCAN was carried out for crystalline SiAs3 at its relaxed geometry.

Summary:
* E_form: 0.6606 eV per atom

a = 6.138 Å, b = 6.138 Å, c = 6.138 Å
α = 144.75°, β = 144.75°, γ = 50.71°
Atoms (fractional coordinates):
Si 0.000 0.000 0.000
As 0.500 0.500 0.000
As 0.750 0.250 0.500
As 0.250 0.750 0.500